No. 1
# LiZr2Se2O2

A relaxed structure of LiZr2Se2O2 (PBE, the Materials Project).

The structure in CIF format:
```
data_LiZr2Se2O2
_space_group_name_H-M_alt 'P m m 2'
_space_group_IT_number 25
_space_group_name_Hall 'P 2 -2'
_cell_length_a 3.4325
_cell_length_b 4.1531
_cell_length_c 9.2973
_cell_angle_alpha 90.00
_cell_angle_beta 90.00
_cell_angle_gamma 90.00
loop_
_atom_site_label
_atom_site_type_symbol
_atom_site_fract_x
_atom_site_fract_y
_atom_site_fract_z
Li1 Li 0.0000 0.0000 0.0000
Zr1 Zr 0.0000 0.5000 0.5735
Zr2 Zr 0.5000 0.0000 0.3269
Se1 Se 0.0000 0.5000 0.8660
Se2 Se 0.5000 0.0000 0.6291
O1 O 0.0000 0.0000 0.2097
O2 O 0.5000 0.5000 0.3888
```

Calculated values
- crystal system = orthorhombic
- polymorph energy (0 for the lowest one) (eV/atom) = 0.2388
- calculated density (g cm⁻³) = 4.75

=====

No. 2
# Li4SiO4

A relaxed structure of Li4SiO4 (PBE, the Materials Project).

The structure in CIF format:
```
data_Li4SiO4
_space_group_name_H-M_alt 'P 1 21 1'
_space_group_IT_number 4
_space_group_name_Hall 'P 2yb'
_cell_length_a 11.7090
_cell_length_b 6.1515
_cell_length_c 16.8985
_cell_angle_alpha 90.00
_cell_angle_beta 98.96
_cell_angle_gamma 90.00
loop_
_atom_site_label
_atom_site_type_symbol
_atom_site_fract_x
_atom_site_fract_y
_atom_site_fract_z
Li1 Li 0.0029 0.2230 0.0120
Li2 Li 0.0261 0.7217 0.5702
Li3 Li 0.0482 0.4970 0.2913
Li4 Li 0.0525 0.5147 0.8453
Li5 Li 0.0519 0.9411 0.2959
Li6 Li 0.0883 0.0143 0.8746
Li7 Li 0.1355 0.2267 0.1437
Li8 Li 0.1405 0.2209 0.7334
Li9 Li 0.1423 0.7229 0.7043
Li10 Li 0.1875 0.4746 0.4541
Li11 Li 0.1878 0.9687 0.4544
Li12 Li 0.1903 0.5000 0.0110
Li13 Li 0.1942 0.9388 0.0157
Li14 Li 0.2383 0.0131 0.5977
Li15 Li 0.2383 0.4302 0.5976
Li16 Li 0.2709 0.7212 0.3038
Li17 Li 0.2725 0.2269 0.8605
Li18 Li 0.3352 0.5046 0.7333
Li19 Li 0.3354 0.9392 0.7335
Li20 Li 0.3374 0.4796 0.1728
Li21 Li 0.3372 0.9635 0.1730
Li22 Li 0.3829 0.4680 0.4077
Li23 Li 0.3830 0.9751 0.4078
Li24 Li 0.4104 0.7213 0.0168
Li25 Li 0.4180 0.2216 0.5498
Li26 Li 0.4524 0.2217 0.2766
Li27 Li 0.4763 0.4773 0.8831
Li28 Li 0.4760 0.9657 0.8830
Si1 Si 0.0406 0.2214 0.5784
Si2 Si 0.1053 0.7228 0.1438
Si3 Si 0.2015 0.2199 0.2911
Si4 Si 0.2460 0.7233 0.8613
Si5 Si 0.3416 0.2199 0.0065
Si6 Si 0.3841 0.7217 0.5714
Si7 Si 0.4775 0.2216 0.7136
O1 O 0.0099 0.7257 0.2079
O2 O 0.0637 0.2146 0.2429
O3 O 0.0702 0.0030 0.6373
O4 O 0.0701 0.4401 0.6371
O5 O 0.0728 0.5073 0.0835
O6 O 0.0754 0.9426 0.0853
O7 O 0.0906 0.7217 0.4700
O8 O 0.1329 0.2216 0.5139
O9 O 0.1533 0.7259 0.9272
O10 O 0.2019 0.2147 0.9614
O11 O 0.2131 0.5072 0.8018
O12 O 0.2155 0.4439 0.3450
O13 O 0.2155 0.9435 0.8033
O14 O 0.2172 0.9976 0.3460
O15 O 0.2382 0.7205 0.1874
O16 O 0.2839 0.2217 0.2211
O17 O 0.3030 0.7218 0.6470
O18 O 0.3347 0.2217 0.6755
O19 O 0.3451 0.5007 0.5185
O20 O 0.3452 0.9427 0.5185
O21 O 0.3575 0.4440 0.0602
O22 O 0.3594 0.9975 0.0611
O23 O 0.3807 0.7206 0.9010
O24 O 0.4208 0.2216 0.9342
O25 O 0.4442 0.7216 0.3590
O26 O 0.4775 0.2216 0.3948
O27 O 0.4982 0.0008 0.7697
O28 O 0.4980 0.4425 0.7696
```

Calculated values
- crystal system = monoclinic
- DFT total energy (eV per atom) = -6.02
- calculated density (g cm⁻³) = 2.32

=====

No. 3
# Li4Si2O7

A relaxed structure of Li4Si2O7 (PBE, the Materials Project).

The structure in CIF format:
```
data_Li4Si2O7
_space_group_name_H-M_alt 'P -4 21 m'
_space_group_IT_number 113
_space_group_name_Hall 'P -4 2ab'
_cell_length_a 7.7883
_cell_length_b 7.7883
_cell_length_c 5.4033
_cell_angle_alpha 90.00
_cell_angle_beta 90.00
_cell_angle_gamma 90.00
loop_
_atom_site_label
_atom_site_type_symbol
_atom_site_fract_x
_atom_site_fract_y
_atom_site_fract_z
Li1 Li 0.0679 0.1556 0.3159
Si1 Si 0.1473 0.3527 0.8161
O1 O 0.0000 0.5000 0.7571
O2 O 0.0819 0.1736 0.6905
O3 O 0.1674 0.3326 0.1146
```

Calculated values
- crystal system = tetragonal
- DFT total energy (eV per atom) = -6.24
- calculated density (g cm⁻³) = 1.99

=====

No. 4
# Li2Si4O7

A relaxed structure of Li2Si4O7 (PBE, the Materials Project).

The structure in CIF format:
```
data_Li2Si4O7
_space_group_name_H-M_alt 'I 41 c d'
_space_group_IT_number 110
_space_group_name_Hall 'I 4bw -2c'
_cell_length_a 10.1851
_cell_length_b 10.1851
_cell_length_c 12.7649
_cell_angle_alpha 90.00
_cell_angle_beta 90.00
_cell_angle_gamma 90.00
loop_
_atom_site_label
_atom_site_type_symbol
_atom_site_fract_x
_atom_site_fract_y
_atom_site_fract_z
Li1 Li 0.1522 0.3403 0.0000
Si1 Si 0.0621 0.3812 0.2403
Si2 Si 0.1039 0.1168 0.3241
O1 O 0.0000 0.0000 0.0631
O2 O 0.0503 0.1528 0.8959
O3 O 0.0666 0.3052 0.6867
O4 O 0.1541 0.2813 0.3088
```

Calculated values
- crystal system = tetragonal
- DFT total energy (eV per atom) = -6.80
- calculated density (g cm⁻³) = 2.39

=====

No. 5
# LiSi6O12

A relaxed structure of LiSi6O12 (PBE, the Materials Project).

The structure in CIF format:
```
data_LiSi6O12
_space_group_name_H-M_alt 'C 1 2 1'
_space_group_IT_number 5
_space_group_name_Hall 'C 2y'
_cell_length_a 14.2634
_cell_length_b 5.3146
_cell_length_c 9.0441
_cell_angle_alpha 90.00
_cell_angle_beta 129.16
_cell_angle_gamma 90.00
loop_
_atom_site_label
_atom_site_type_symbol
_atom_site_fract_x
_atom_site_fract_y
_atom_site_fract_z
Li1 Li 0.0000 0.0000 0.0000
Si1 Si 0.0000 0.4916 0.5000
Si2 Si 0.0000 0.5001 0.0000
Si3 Si 0.1685 0.2857 0.4185
Si4 Si 0.1686 0.7053 0.9151
O1 O 0.0781 0.7021 0.9744
O2 O 0.0811 0.3090 0.4751
O3 O 0.0835 0.2979 0.1799
O4 O 0.0872 0.6728 0.6858
O5 O 0.2294 0.0068 0.4812
O6 O 0.2300 0.9838 0.9712
```

Calculated values
- crystal system = monoclinic
- polymorph energy (0 for the lowest one) (eV/atom) = 0.0070
- calculated density (g cm⁻³) = 2.30

=====

No. 6
# Li6Si2O7

A relaxed structure of Li6Si2O7 (PBE, the Materials Project).

The structure in CIF format:
```
data_Li6Si2O7
_space_group_name_H-M_alt 'P -4 21 m'
_space_group_IT_number 113
_space_group_name_Hall 'P -4 2ab'
_cell_length_a 7.7693
_cell_length_b 7.7693
_cell_length_c 4.9063
_cell_angle_alpha 90.00
_cell_angle_beta 90.00
_cell_angle_gamma 90.00
loop_
_atom_site_label
_atom_site_type_symbol
_atom_site_fract_x
_atom_site_fract_y
_atom_site_fract_z
Li1 Li 0.0825 0.1366 0.2967
Li2 Li 0.1108 0.6108 0.3143
Si1 Si 0.1440 0.3560 0.8205
O1 O 0.0000 0.5000 0.6832
O2 O 0.0975 0.1643 0.7087
O3 O 0.1306 0.3694 0.1538
```

Calculated values
- crystal system = tetragonal
- DFT total energy (eV per atom) = -6.22
- calculated density (g cm⁻³) = 2.35

=====

No. 7
# Li8SiO6

A relaxed structure of Li8SiO6 (PBE, the Materials Project).

The structure in CIF format:
```
data_Li8SiO6
_space_group_name_H-M_alt 'P 63 c m'
_space_group_IT_number 185
_space_group_name_Hall 'P 6c -2'
_cell_length_a 5.4512
_cell_length_b 5.4512
_cell_length_c 10.6974
_cell_angle_alpha 90.00
_cell_angle_beta 90.00
_cell_angle_gamma 120.00
loop_
_atom_site_label
_atom_site_type_symbol
_atom_site_fract_x
_atom_site_fract_y
_atom_site_fract_z
Li1 Li 0.0000 0.3081 0.0000
Li2 Li 0.0000 0.3940 0.3592
Li3 Li 0.3333 0.6667 0.1414
Si1 Si 0.0000 0.0000 0.2293
O1 O 0.0000 0.0000 0.3867
O2 O 0.0000 0.2884 0.1828
O3 O 0.3333 0.6667 0.4497
```

Calculated values
- crystal system = hexagonal
- DFT total energy (eV per atom) = -5.52
- calculated density (g cm⁻³) = 2.17

=====

No. 8
# Li2Si3O7

A relaxed structure of Li2Si3O7 (PBE, the Materials Project).

The structure in CIF format:
```
data_Li2Si3O7
_space_group_name_H-M_alt 'P b c m'
_space_group_IT_number 57
_space_group_name_Hall '-P 2c 2b'
_cell_length_a 6.0553
_cell_length_b 4.9233
_cell_length_c 19.9636
_cell_angle_alpha 90.00
_cell_angle_beta 90.00
_cell_angle_gamma 90.00
loop_
_atom_site_label
_atom_site_type_symbol
_atom_site_fract_x
_atom_site_fract_y
_atom_site_fract_z
Li1 Li 0.1462 0.0577 0.0441
Si1 Si 0.1498 0.5790 0.2500
Si2 Si 0.3532 0.5532 0.1050
O1 O 0.0759 0.6026 0.7500
O2 O 0.1624 0.0440 0.5553
O3 O 0.2967 0.5119 0.1843
O4 O 0.4124 0.6196 0.5919
```

Calculated values
- crystal system = orthorhombic
- DFT total energy (eV per atom) = -7.24
- calculated density (g cm⁻³) = 2.35

=====

No. 9
# LiSiO3

A relaxed structure of LiSiO3 (PBE, the Materials Project).

The structure in CIF format:
```
data_LiSiO3
_space_group_name_H-M_alt 'P m -3 m'
_space_group_IT_number 221
_space_group_name_Hall '-P 4 2 3'
_cell_length_a 3.5087
_cell_length_b 3.5087
_cell_length_c 3.5087
_cell_angle_alpha 90.00
_cell_angle_beta 90.00
_cell_angle_gamma 90.00
loop_
_atom_site_label
_atom_site_type_symbol
_atom_site_fract_x
_atom_site_fract_y
_atom_site_fract_z
Li1 Li 0.0000 0.0000 0.0000
Si1 Si 0.5000 0.5000 0.5000
O1 O 0.0000 0.5000 0.5000
```

Calculated values
- crystal system = cubic
- DFT total energy (eV per atom) = -6.42
- calculated density (g cm⁻³) = 3.19

=====

No. 10
# LiSi6O12

A relaxed structure of LiSi6O12 (PBE, the Materials Project).

The structure in CIF format:
```
data_LiSi6O12
_space_group_name_H-M_alt 'P -1'
_space_group_IT_number 2
_space_group_name_Hall '-P 1'
_cell_length_a 5.0370
_cell_length_b 7.6490
_cell_length_c 7.6527
_cell_angle_alpha 74.01
_cell_angle_beta 71.09
_cell_angle_gamma 71.31
loop_
_atom_site_label
_atom_site_type_symbol
_atom_site_fract_x
_atom_site_fract_y
_atom_site_fract_z
Li1 Li 0.0000 0.0000 0.0000
Si1 Si 0.0084 0.7445 0.2584
Si2 Si 0.0696 0.1828 0.1757
Si3 Si 0.4113 0.3398 0.3408
O1 O 0.0677 0.2370 0.9464
O2 O 0.0895 0.9500 0.2287
O3 O 0.2356 0.7044 0.6992
O4 O 0.2759 0.2671 0.5652
O5 O 0.2852 0.5676 0.2839
O6 O 0.3429 0.2274 0.2098
```

Calculated values
- crystal system = triclinic
- polymorph energy (0 for the lowest one) (eV/atom) = 0.1099
- calculated density (g cm⁻³) = 2.35